Entry 1:
Entry from Materials Project: Ca3Fe5Sn3O16 after structural relaxation (PBE with a Hubbard U).

Spin magnetization: 24.001 μB/cell
ΔH_f (0 K): -2.165 eV per atom
Energy with MP2020 corrections: -198.0 eV for the cell shown

extended XYZ file:
```
27
Lattice="9.435 0.000 0.000 0.000 3.136 0.000 -0.022 0.000 10.972" Properties=species:S:1:pos:R:3 pbc="T T T"
Ca 0.000 0.000 0.000
Ca 0.104 1.568 5.384
Ca 4.656 0.000 2.141
Fe 1.582 1.568 2.580
Fe 2.962 0.000 10.551
Fe 3.069 0.000 4.877
Fe 7.743 0.000 2.502
Fe 7.840 0.000 8.067
Sn 1.898 1.568 8.022
Sn 6.223 1.568 10.303
Sn 6.389 1.568 5.042
O 0.447 0.000 7.445
O 1.215 0.000 3.992
O 1.519 1.568 10.083
O 2.144 0.000 1.422
O 2.454 1.568 6.021
O 3.113 0.000 8.517
O 3.438 1.568 3.510
O 4.351 1.568 0.183
O 5.088 0.000 5.329
O 6.021 0.000 8.978
O 6.291 1.568 2.958
O 6.851 0.000 0.635
O 7.470 1.568 6.833
O 7.852 0.000 4.583
O 8.207 1.568 9.464
O 9.078 1.568 1.913
```

Entry 2:
Entry from Materials Project: SrCaFeSnO6 after structural relaxation (PBE with a Hubbard U).

Spin magnetization: 4.036 μB/cell
ΔH_f (0 K): -2.331 eV per atom
Energy with MP2020 corrections: -69.2 eV for the cell shown

extended XYZ file:
```
10
Lattice="0.000 3.996 3.996 3.996 0.000 3.996 3.996 3.996 0.000" Properties=species:S:1:pos:R:3 pbc="T T T"
Sr 0.000 0.000 0.000
Ca 3.996 3.996 3.996
Fe 1.998 1.998 1.998
Sn 5.994 5.994 5.994
O 1.998 1.998 0.045
O 1.998 0.045 1.998
O 3.952 1.998 1.998
O 0.045 1.998 1.998
O 1.998 3.952 1.998
O 1.998 1.998 3.952
```

Entry 3:
Entry from Materials Project: Ca2YFe3Sn2O12 after structural relaxation (PBE with a Hubbard U).

Spin magnetization: 59.997 μB/cell
ΔH_f (0 K): -2.474 eV per atom
Energy with MP2020 corrections: -611.1 eV for the cell shown

extended XYZ file:
```
80
Lattice="11.058 0.000 0.000 -3.658 10.468 0.000 -3.690 -5.225 9.058" Properties=species:S:1:pos:R:3 pbc="T T T"
Ca 0.000 0.000 0.000
Ca 9.196 -0.679 3.445
Ca -1.874 5.283 2.270
Ca -3.699 4.609 7.933
Ca -1.841 1.333 6.807
Ca 1.888 4.677 3.393
Ca 3.667 1.351 4.567
Ca 5.508 3.983 2.303
Y -1.812 -2.549 6.814
Y 3.607 -2.546 4.550
Y 3.691 9.185 0.017
Y 3.584 -0.558 7.911
Fe 7.355 2.662 4.549
Fe -5.531 2.023 7.937
Fe -0.026 3.977 0.016
Fe -3.678 6.610 4.542
Fe 1.803 -1.247 2.300
Fe 0.902 -0.667 5.714
Fe 1.810 -3.223 7.902
Fe 0.003 0.031 9.036
Fe 5.486 0.023 2.296
Fe 1.855 2.602 6.812
Fe 3.670 7.246 3.428
Fe 5.508 -3.871 6.829
Sn -0.012 1.980 3.460
Sn 0.926 7.223 1.144
Sn -0.938 4.661 5.710
Sn 2.795 2.010 1.116
Sn 8.240 2.009 1.120
Sn 4.591 4.629 5.676
Sn 6.435 -0.618 5.670
Sn 6.438 7.232 1.168
O -1.066 1.190 1.983
O -3.686 8.932 1.904
O -3.298 -0.763 7.281
O -4.766 5.840 5.908
O 1.058 2.408 0.011
O -0.386 -2.079 5.030
O -3.702 2.206 8.359
O -2.637 3.493 5.890
O -0.416 0.698 4.876
O 2.246 0.012 0.946
O 0.403 5.226 1.365
O -1.807 6.203 4.596
O -0.415 3.882 3.822
O -0.767 7.648 2.313
O -0.048 -3.412 8.269
O -0.387 -0.605 7.305
O 2.141 -0.764 4.096
O 1.891 2.240 3.017
O 2.696 6.899 0.041
O -1.395 5.421 7.599
O 0.024 3.176 6.819
O 1.503 9.224 0.912
O 3.270 4.018 1.353
O 2.244 -1.972 6.545
O 0.761 5.859 5.456
O 1.808 7.072 3.054
O 4.495 1.621 2.241
O 2.230 0.778 6.468
O 5.086 -0.602 4.058
O 2.857 3.480 5.473
O 6.564 2.827 0.187
O 5.560 5.502 0.350
O 5.063 -2.050 6.409
O 4.092 5.454 3.823
O 7.320 0.266 1.820
O 2.178 3.198 8.601
O 4.670 8.025 1.995
O 5.048 -4.481 8.576
O 5.121 0.701 6.616
O 5.527 3.128 4.584
O 3.703 6.194 6.789
O 7.762 -2.018 4.842
O 8.131 6.434 0.220
O 7.797 3.175 2.768
O 9.173 3.715 0.339
O 6.948 6.044 2.786
O 7.704 0.831 4.919
O 5.096 3.818 7.533
```

Entry 4:
Entry from Materials Project: Sr4CaFe5O15 after structural relaxation (PBE with a Hubbard U).

Spin magnetization: 42.340 μB/cell
ΔH_f (0 K): -2.213 eV per atom
Energy with MP2020 corrections: -361.3 eV for the cell shown

extended XYZ file:
```
50
Lattice="3.894 0.000 0.000 0.000 3.899 7.813 0.000 -15.629 7.830" Properties=species:S:1:pos:R:3 pbc="T T T"
Sr 3.894 0.007 3.890
Sr 0.000 -7.807 7.805
Sr 0.000 -0.006 7.820
Sr 0.000 -7.817 11.733
Sr 3.894 -3.914 3.909
Sr 0.000 -11.725 7.823
Sr 0.000 -3.924 7.838
Sr 0.000 -11.736 11.751
Ca 3.894 -15.628 7.831
Ca 0.000 -3.915 11.726
Fe 1.947 -9.771 9.779
Fe 1.947 -1.977 9.781
Fe 1.947 -5.870 5.856
Fe 1.947 1.955 5.872
Fe 1.947 -1.940 1.946
Fe 1.947 -1.958 5.864
Fe 1.947 -9.791 13.696
Fe 1.947 -13.685 9.771
Fe 1.947 -5.860 9.786
Fe 1.947 -9.754 5.861
O 0.000 -1.959 5.864
O 0.000 -9.772 9.778
O 1.947 1.949 3.906
O 1.947 -5.865 7.822
O 1.947 -0.010 9.771
O 1.947 -7.822 13.684
O 0.000 -1.983 9.826
O 0.000 -9.797 13.740
O 3.894 -5.910 5.804
O 0.000 -13.724 9.719
O 3.894 1.994 5.924
O 0.000 -5.820 9.838
O 3.894 -1.934 1.902
O 0.000 -9.747 5.816
O 1.947 -1.917 3.861
O 1.947 -9.731 7.775
O 1.947 -1.999 7.867
O 1.947 -9.813 11.781
O 1.947 -3.935 5.853
O 1.947 -11.748 9.768
O 1.947 0.018 5.874
O 1.947 -7.796 9.790
O 1.947 -5.858 3.880
O 1.947 -13.671 7.795
O 1.947 1.941 7.848
O 1.947 -5.872 11.761
O 1.947 -3.926 9.866
O 1.947 -11.739 13.782
O 1.947 0.009 1.860
O 1.947 -7.804 5.777
```

Among the records above, which one has the lowest ΔH_f (0 K)? Ca2YFe3Sn2O12